Record 1
This record from the Materials Project describes a relaxed structure of SiO2. The functional is meta-GGA r2SCAN.

Summary:
Energy of formation from the pure elements, meV/atom: -3016
Total DFT energy (no corrections), eV/cell: -476.250

a b c (Å): 8.4471 8.4471 8.4471
angles (deg): 90.00 90.00 90.00
Space group Ia-3 (No. 206)
Unique sites:
1 Si 0.1412 0.1412 0.1412 x16
2 O 0.0000 0.2500 0.0698 x24
3 O 0.2500 0.2500 0.2500 x8



Record 2
This record from the Materials Project describes a relaxed structure of Ac3La. The functional is meta-GGA r2SCAN.

Summary:
Energy of formation from the pure elements, meV/atom: 32
Total DFT energy (no corrections), eV/cell: -471.058
Relative energy among the computed polymorphs, meV per atom: 8

a b c (Å): 5.6420 5.6420 11.0682
angles (deg): 90.00 90.00 90.00
Space group I4/mmm (No. 139)
Unique sites:
1 Ac 0.0000 0.0000 0.0000 x2
2 Ac 0.0000 0.5000 0.2500 x4
3 La 0.0000 0.0000 0.5000 x2



Record 3
This record from the Materials Project describes a relaxed structure of RbScCl3. The functional is meta-GGA r2SCAN.

Summary:
Energy of formation from the pure elements, meV/atom: -2163
Total DFT energy (no corrections), eV/cell: -109.208

a b c (Å): 7.3118 7.3118 5.8984
angles (deg): 90.00 90.00 120.00
Space group P6_3/mmc (No. 194)
Unique sites:
1 Rb 0.3333 0.6667 0.2500 x2
2 Sc 0.0000 0.0000 0.0000 x2
3 Cl 0.1679 0.3359 0.7500 x6



Record 4
This record from the Materials Project describes a relaxed structure of Be3Ir. The functional is meta-GGA r2SCAN.

Summary:
Energy of formation from the pure elements, meV/atom: -492
Total DFT energy (no corrections), eV/cell: -134.681

a b c (Å): 3.2632 3.2632 7.2511
angles (deg): 90.00 90.00 90.00
Space group I4/mmm (No. 139)
Unique sites:
1 Be 0.0000 0.0000 0.0000 x2
2 Be 0.0000 0.5000 0.2500 x4
3 Ir 0.0000 0.0000 0.5000 x2



Record 5
This record from the Materials Project describes a relaxed structure of Sc2Se3. The functional is meta-GGA r2SCAN.

Summary:
Energy of formation from the pure elements, meV/atom: -1928
Total DFT energy (no corrections), eV/cell: -301.481

a b c (Å): 6.7523 11.5137 6.6429
angles (deg): 90.00 109.75 90.00
Space group C2/c (No. 15)
Unique sites:
1 Sc 0.0000 0.0873 0.2500 x4
2 Sc 0.0000 0.2531 0.7500 x4
3 Se 0.2372 0.0863 0.0006 x8
4 Se 0.2500 0.2500 0.5000 x4



Record 6
This record from the Materials Project describes a relaxed structure of ScZn2Ag. The functional is meta-GGA r2SCAN.

Summary:
Energy of formation from the pure elements, meV/atom: -274
Total DFT energy (no corrections), eV/cell: -206.694

a b c (Å): 6.4058 6.4058 6.4058
angles (deg): 90.00 90.00 90.00
Space group Fm-3m (No. 225)
Unique sites:
1 Sc 0.0000 0.0000 0.0000 x4
2 Zn 0.2500 0.2500 0.2500 x8
3 Ag 0.0000 0.0000 0.5000 x4



Record 7
This record from the Materials Project describes a relaxed structure of Pm2CoRu. The functional is meta-GGA r2SCAN.

Summary:
Energy of formation from the pure elements, meV/atom: -96
Total DFT energy (no corrections), eV/cell: -392.504

a b c (Å): 6.9703 6.9703 6.9703
angles (deg): 90.00 90.00 90.00
Space group Fm-3m (No. 225)
Unique sites:
1 Pm 0.2500 0.2500 0.2500 x8
2 Co 0.0000 0.0000 0.0000 x4
3 Ru 0.0000 0.0000 0.5000 x4



Record 8
This record from the Materials Project describes a relaxed structure of YbGeAu. The functional is meta-GGA r2SCAN.

Summary:
Energy of formation from the pure elements, meV/atom: -807
Total DFT energy (no corrections), eV/cell: -413.629

a b c (Å): 10.3285 4.2244 6.9890
angles (deg): 90.00 129.29 90.00
Space group C2/m (No. 12)
Unique sites:
1 Yb 0.0546 0.0000 0.2996 x4
2 Ge 0.1537 0.5000 0.6729 x4
3 Au 0.1669 0.5000 0.0961 x4



Record 9
This record from the Materials Project describes a relaxed structure of Sm5Ru2. The functional is meta-GGA r2SCAN.

Summary:
Energy of formation from the pure elements, meV/atom: -290
Total DFT energy (no corrections), eV/cell: -806.184

a b c (Å): 16.1822 6.5114 7.2897
angles (deg): 90.00 96.79 90.00
Space group C2/c (No. 15)
Unique sites:
1 Sm 0.0000 0.0761 0.2500 x4
2 Sm 0.0933 0.3879 0.9109 x8
3 Sm 0.2158 0.0739 0.3135 x8
4 Ru 0.1109 0.2177 0.5736 x8



Record 10
This record from the Materials Project describes a relaxed structure of RbTiS2. The functional is meta-GGA r2SCAN.

Summary:
Energy of formation from the pure elements, meV/atom: -1507
Total DFT energy (no corrections), eV/cell: -146.898

a b c (Å): 3.6708 3.6708 22.8809
angles (deg): 90.00 90.00 120.00
Space group R3m (No. 160, hexagonal axes)
Unique sites:
1 Rb 0.0000 0.0000 0.0000 x3
2 Ti 0.0000 0.0000 0.1688 x3
3 S 0.0000 0.0000 0.5617 x3
4 S 0.0000 0.0000 0.7753 x3



Record 11
This record from the Materials Project describes a relaxed structure of LiAc2Pb. The functional is meta-GGA r2SCAN.

Summary:
Energy of formation from the pure elements, meV/atom: -362
Total DFT energy (no corrections), eV/cell: -789.572

a b c (Å): 8.2066 8.2066 8.2066
angles (deg): 90.00 90.00 90.00
Space group Fm-3m (No. 225)
Unique sites:
1 Li 0.0000 0.0000 0.0000 x4
2 Ac 0.2500 0.2500 0.2500 x8
3 Pb 0.0000 0.0000 0.5000 x4



Record 12
This record from the Materials Project describes a relaxed structure of ZrI4O12. The functional is meta-GGA r2SCAN.

Summary:
Energy of formation from the pure elements, meV/atom: -944
Total DFT energy (no corrections), eV/cell: -417.417

a b c (Å): 8.4129 8.4129 7.3934
angles (deg): 90.00 90.00 90.00
Space group P4/n (No. 85, origin choice 2)
Unique sites:
1 Zr 0.2500 0.2500 0.0570 x2
2 I 0.0022 0.4687 0.7275 x8
3 O 0.0012 0.8505 0.4478 x8
4 O 0.0433 0.3248 0.2195 x8
5 O 0.0461 0.1597 0.9017 x8



Record 13
This record from the Materials Project describes a relaxed structure of LiMg2Rh. The functional is meta-GGA r2SCAN.

Summary:
Energy of formation from the pure elements, meV/atom: -364
Total DFT energy (no corrections), eV/cell: -145.269

a b c (Å): 6.3345 6.3345 6.3345
angles (deg): 90.00 90.00 90.00
Space group Fm-3m (No. 225)
Unique sites:
1 Li 0.0000 0.0000 0.0000 x4
2 Mg 0.2500 0.2500 0.2500 x8
3 Rh 0.0000 0.0000 0.5000 x4



Record 14
This record from the Materials Project describes a relaxed structure of In4Pb. The functional is meta-GGA r2SCAN.

Summary:
Energy of formation from the pure elements, meV/atom: 9
Total DFT energy (no corrections), eV/cell: -293.114

a b c (Å): 5.7369 3.5028 13.6779
angles (deg): 90.00 91.89 90.00
Space group C2/m (No. 12)
Unique sites:
1 In 0.0664 0.0000 0.2908 x4
2 In 0.2111 0.5000 0.0968 x4
3 Pb 0.0000 0.5000 0.5000 x2



Record 15
This record from the Materials Project describes a relaxed structure of TmHfCo2. The functional is meta-GGA r2SCAN.

Summary:
Energy of formation from the pure elements, meV/atom: -301
Total DFT energy (no corrections), eV/cell: -431.777

a b c (Å): 6.4453 6.4453 6.4453
angles (deg): 90.00 90.00 90.00
Space group Fm-3m (No. 225)
Unique sites:
1 Tm 0.0000 0.0000 0.0000 x4
2 Hf 0.0000 0.0000 0.5000 x4
3 Co 0.2500 0.2500 0.2500 x8



Record 16
This record from the Materials Project describes a relaxed structure of Li2PdAu. The functional is meta-GGA r2SCAN.

Summary:
Energy of formation from the pure elements, meV/atom: -513
Total DFT energy (no corrections), eV/cell: -321.482

a b c (Å): 6.0121 6.0121 6.0121
angles (deg): 90.00 90.00 90.00
Space group Fm-3m (No. 225)
Unique sites:
1 Li 0.2500 0.2500 0.2500 x8
2 Pd 0.0000 0.0000 0.0000 x4
3 Au 0.0000 0.0000 0.5000 x4



Record 17
This record from the Materials Project describes a relaxed structure of Ta5As4. The functional is meta-GGA r2SCAN.

Summary:
Energy of formation from the pure elements, meV/atom: -584
Total DFT energy (no corrections), eV/cell: -614.083

a b c (Å): 9.8410 9.8410 3.4496
angles (deg): 90.00 90.00 90.00
Space group I4/m (No. 87)
Unique sites:
1 Ta 0.0000 0.0000 0.0000 x2
2 Ta 0.1317 0.1946 0.5000 x8
3 As 0.0523 0.7171 0.0000 x8



Record 18
This record from the Materials Project describes a relaxed structure of ThAs8O18. The functional is meta-GGA r2SCAN.

Summary:
Energy of formation from the pure elements, meV/atom: -1631
Total DFT energy (no corrections), eV/cell: -1370.719

a b c (Å): 18.2730 5.2226 17.3920
angles (deg): 90.00 99.05 90.00
Space group C2/c (No. 15)
Unique sites:
1 Th 0.0000 0.2206 0.2500 x4
2 As 0.0018 0.2735 0.5920 x8
3 As 0.1238 0.3192 0.4805 x8
4 As 0.1506 0.2835 0.7769 x8
5 As 0.1892 0.3587 0.1372 x8
6 O 0.0324 0.0252 0.8651 x8
7 O 0.0434 0.4917 0.1485 x8
8 O 0.0650 0.1465 0.5381 x8
9 O 0.0699 0.3854 0.9773 x8
10 O 0.0977 0.4908 0.3085 x8
11 O 0.1068 0.0288 0.7342 x8
12 O 0.1922 0.4232 0.5582 x8
13 O 0.2087 0.4043 0.7158 x8
14 O 0.2117 0.1988 0.8591 x8



Record 19
This record from the Materials Project describes a relaxed structure of Mg2AgPt. The functional is meta-GGA r2SCAN.

Summary:
Energy of formation from the pure elements, meV/atom: -585
Total DFT energy (no corrections), eV/cell: -334.089

a b c (Å): 6.4161 6.4161 6.4161
angles (deg): 90.00 90.00 90.00
Space group Fm-3m (No. 225)
Unique sites:
1 Mg 0.2500 0.2500 0.2500 x8
2 Ag 0.0000 0.0000 0.0000 x4
3 Pt 0.0000 0.0000 0.5000 x4



Record 20
This record from the Materials Project describes a relaxed structure of TlFeBr4. The functional is meta-GGA r2SCAN.

Summary:
Energy of formation from the pure elements, meV/atom: -854
Total DFT energy (no corrections), eV/cell: -503.001

a b c (Å): 7.7400 10.3979 10.2962
angles (deg): 90.00 90.00 90.00
Space group Pnna (No. 52)
Unique sites:
1 Tl 0.1653 0.2500 0.2500 x4
2 Fe 0.2500 0.0000 0.6814 x4
3 Br 0.0077 0.0421 0.8128 x8
4 Br 0.1755 0.6788 0.9456 x8



Record 21
This record from the Materials Project describes a relaxed structure of Be2BH3O5. The functional is meta-GGA r2SCAN.

Summary:
Energy of formation from the pure elements, meV/atom: -2146
Total DFT energy (no corrections), eV/cell: -79.854

a b c (Å): 4.4171 4.4335 5.2756
angles (deg): 91.58 90.86 119.84
Space group P1 (No. 1)
Unique sites:
1 Be 0.0000 0.0000 0.0000 x1
2 Be 0.3388 0.6782 0.2066 x1
3 B 0.6696 0.3395 0.0980 x1
4 H 0.1251 0.8670 0.6093 x1
5 H 0.2354 0.4716 0.5826 x1
6 H 0.7465 0.8705 0.6081 x1
7 O 0.3461 0.7014 0.5115 x1
8 O 0.3611 0.0309 0.0999 x1
9 O 0.6699 0.6487 0.1002 x1
10 O 0.9792 0.3388 0.0939 x1
11 O 0.9923 0.9801 0.6856 x1